1.
An optimized crystal structure of Er2BiO2. Source: Materials Project, functional GGA-PBE.

Structure (POSCAR):
```
Er2BiO2
1.0
-1.9266 1.9266 6.7429
1.9266 -1.9266 6.7429
1.9266 1.9266 -6.7429
Er Bi O
2 1 2
direct
0.6694 0.6694 0.0000
0.3306 0.3306 0.0000
0.0000 0.0000 0.0000
0.7500 0.2500 0.5000
0.2500 0.7500 0.5000
```

## Properties
SG   I4/mmm (139)
Energy of formation from the pure elements   -2.99 eV/atom
Final energy   -7.297 eV per atom

2.
An optimized crystal structure of Pr4C2Cl5. Source: Materials Project, functional GGA-PBE.

Structure (POSCAR):
```
Pr4C2Cl5
1.0
-1.9619 3.9542 8.7966
1.9619 -3.9542 8.7966
1.9619 3.9542 -8.7966
Pr C Cl
4 2 5
direct
0.3302 0.3302 0.0000
0.6698 0.6698 0.0000
0.7126 0.0000 0.7126
0.2874 0.0000 0.2874
0.4599 0.4599 0.0000
0.5401 0.5401 0.0000
0.3969 0.1672 0.2297
0.0626 0.8328 0.2297
0.6031 0.8328 0.7703
0.9374 0.1672 0.7703
0.0000 0.5000 0.5000
```

## Properties
SG   Immm (71)
Energy of formation from the pure elements   -1.86 eV/atom
Final energy   -5.837 eV per atom

3.
An optimized crystal structure of CaCu2Bi2O8. Source: Materials Project, functional GGA-PBE.

Structure (POSCAR):
```
CaCu2Bi2O8
1.0
9.1080 0.0000 0.0000
0.0000 6.7045 0.0000
0.0000 0.2021 13.5232
Ca Cu Bi O
4 8 8 32
direct
0.1593 0.1198 0.0403
0.8407 0.8802 0.9597
0.6593 0.8802 0.4597
0.3407 0.1198 0.5403
0.1915 0.7471 0.8815
0.0505 0.3755 0.6169
0.9495 0.6245 0.3831
0.8085 0.2529 0.1185
0.3085 0.7471 0.3815
0.4495 0.3755 0.1169
0.6915 0.2529 0.6185
0.5505 0.6245 0.8831
0.4495 0.1003 0.8354
0.0505 0.1003 0.3354
0.0946 0.6121 0.1433
0.9495 0.8997 0.6646
0.9054 0.3879 0.8567
0.5946 0.3879 0.3567
0.4054 0.6121 0.6433
0.5505 0.8997 0.1646
0.2578 0.0185 0.3870
0.0138 0.6451 0.5888
0.5811 0.2089 0.4909
0.0811 0.7911 0.0091
0.2422 0.0185 0.8870
0.7422 0.9815 0.6130
0.1006 0.1039 0.6062
0.8767 0.5083 0.1380
0.6233 0.5083 0.6380
0.8747 0.3070 0.6846
0.3747 0.6930 0.8154
0.1233 0.4917 0.8620
0.8994 0.8961 0.3938
0.5206 0.8642 0.3128
0.2478 0.4172 0.5849
0.2522 0.4172 0.0849
0.0206 0.1358 0.1872
0.3767 0.4917 0.3620
0.4794 0.1358 0.6872
0.4189 0.7911 0.5091
0.4862 0.6451 0.0888
0.1253 0.6930 0.3154
0.7578 0.9815 0.1130
0.3994 0.1039 0.1062
0.9189 0.2089 0.9909
0.7478 0.5828 0.9151
0.9862 0.3549 0.4112
0.5138 0.3549 0.9112
0.6006 0.8961 0.8938
0.7522 0.5828 0.4151
0.6253 0.3070 0.1846
0.9794 0.8642 0.8128
```

## Properties
SG   P2_1/c (14)
Energy of formation from the pure elements   -1.40 eV/atom
Final energy   -5.405 eV per atom

4.
An optimized crystal structure of Zn4InGaO7. Source: Materials Project, functional GGA-PBE.

Structure (POSCAR):
```
Zn4InGaO7
1.0
-0.9863 2.8851 -1.3333
-1.7695 -2.7684 -0.5285
-18.1626 6.4005 27.2847
Zn In Ga O
8 2 2 14
direct
0.6667 0.3333 0.4078
0.3333 0.6667 0.5922
0.3333 0.6667 0.9078
0.6667 0.3333 0.0922
0.0000 0.0000 0.3289
0.0000 0.0000 0.6711
0.0000 0.0000 0.8289
0.0000 0.0000 0.1711
0.0000 0.0000 0.5000
0.0000 0.0000 0.0000
0.6667 0.3333 0.2500
0.3333 0.6667 0.7500
0.6667 0.3333 0.4672
0.3333 0.6667 0.5328
0.3333 0.6667 0.9672
0.6667 0.3333 0.0328
0.0000 0.0000 0.3889
0.0000 0.0000 0.6111
0.0000 0.0000 0.8889
0.0000 0.0000 0.1111
0.6667 0.3333 0.3100
0.3333 0.6667 0.6900
0.3333 0.6667 0.8100
0.6667 0.3333 0.1900
0.0000 0.0000 0.2500
0.0000 0.0000 0.7500
```

## Properties
SG   P6_3/mmc (194)
Energy of formation from the pure elements   -1.92 eV/atom
Final energy   -5.050 eV per atom

5.
An optimized crystal structure of Na12Mg2Nb10Si15S3O72. Source: Materials Project, functional GGA-PBE.

Structure (POSCAR):
```
Na12Mg2Nb10Si15S3O72
1.0
9.0044 0.0123 0.0039
-4.4915 7.8036 -0.0157
0.0097 -0.0407 22.6501
Na Mg Nb Si S O
12 2 10 15 3 72
direct
0.3761 0.3669 0.2411
0.9891 0.6193 0.2389
0.6320 0.6240 0.7415
0.3794 0.0100 0.7384
0.0218 0.6818 0.5852
0.6584 0.9780 0.5846
0.0116 0.0117 0.4971
0.0022 0.9987 0.9997
0.6928 0.3337 0.8298
0.6658 0.3093 0.3309
0.3347 0.6703 0.1624
0.3188 0.6439 0.6642
0.6835 0.3370 0.6856
0.6680 0.3257 0.1857
0.0102 0.0148 0.3582
0.9865 0.9889 0.8589
0.9910 0.9894 0.6425
0.0213 0.0102 0.1422
0.6654 0.3455 0.9775
0.6661 0.3297 0.4788
0.3205 0.6574 0.0204
0.3345 0.6662 0.5194
0.3252 0.6665 0.3145
0.3307 0.6753 0.8150
0.2956 0.0012 0.2507
0.9938 0.2878 0.2499
0.9981 0.7050 0.7503
0.7090 0.0039 0.7510
0.9575 0.3360 0.5844
0.3801 0.0494 0.5865
0.6547 0.6088 0.5874
0.9528 0.6205 0.0880
0.3885 0.3439 0.0873
0.6142 0.6647 0.9168
0.0407 0.3760 0.9161
0.3365 0.9615 0.9187
0.6230 0.9571 0.4166
0.3426 0.3829 0.4150
0.0382 0.6653 0.4178
0.7119 0.7188 0.2504
0.2815 0.2877 0.7508
0.6671 0.0426 0.0835
0.1810 0.0110 0.3061
0.8138 0.8039 0.3038
0.9831 0.1711 0.3079
0.1968 0.1873 0.8040
0.9947 0.8230 0.8062
0.8297 0.0149 0.8076
0.8056 0.9758 0.6924
0.1790 0.2043 0.6967
0.0299 0.8293 0.6912
0.7932 0.8194 0.1965
0.0216 0.1861 0.1932
0.1681 0.9692 0.1918
0.8907 0.3920 0.6403
0.4934 0.1167 0.6451
0.6282 0.5139 0.6485
0.8831 0.5187 0.1480
0.6431 0.1195 0.1371
0.4849 0.3636 0.1479
0.4790 0.3118 0.0287
0.8335 0.5190 0.0292
0.6917 0.1457 0.0296
0.4739 0.1667 0.5279
0.6983 0.5241 0.5303
0.8314 0.2936 0.5261
0.5212 0.6924 0.9732
0.1608 0.4679 0.9742
0.3046 0.8328 0.9731
0.5349 0.8446 0.4760
0.3150 0.4811 0.4709
0.1608 0.6962 0.4750
0.1334 0.6381 0.3583
0.4978 0.8540 0.3594
0.3589 0.4918 0.3548
0.1398 0.5019 0.8589
0.3634 0.8701 0.8577
0.5042 0.6406 0.8562
0.0199 0.8347 0.4087
0.8110 0.9732 0.4086
0.1683 0.1922 0.4117
0.0284 0.1903 0.9084
0.1680 0.9818 0.9091
0.8083 0.8326 0.9116
0.9705 0.1594 0.5917
0.1842 0.0230 0.5905
0.8350 0.8080 0.5902
0.9663 0.8133 0.0899
0.8226 0.0218 0.0883
0.1893 0.1675 0.0888
0.6752 0.1610 0.7501
0.4528 0.3044 0.7476
0.8236 0.5277 0.7511
0.6935 0.5461 0.2482
0.8362 0.3211 0.2489
0.4747 0.1732 0.2484
0.6389 0.4970 0.9231
0.8530 0.3566 0.9240
0.5085 0.1461 0.9256
0.6393 0.1444 0.4213
0.5086 0.3610 0.4229
0.8544 0.4932 0.4238
0.3562 0.5065 0.0759
0.1507 0.6570 0.0755
0.5135 0.8677 0.0774
0.3467 0.8516 0.5754
0.5048 0.6588 0.5761
0.1506 0.4994 0.5723
0.2986 0.8194 0.2545
0.5354 0.6976 0.2535
0.1794 0.4744 0.2539
0.3016 0.4634 0.7532
0.1792 0.6989 0.7543
0.5231 0.8179 0.7545
```

## Properties
SG   P1 (1)
Energy of formation from the pure elements   -2.87 eV/atom
Final energy   -7.435 eV per atom

6.
An optimized crystal structure of ErP4HO12. Source: Materials Project, functional GGA-PBE.

Structure (POSCAR):
```
ErP4HO12
1.0
-7.1834 0.6762 0.3265
-1.0056 -8.4196 -4.6877
-0.3503 -8.8352 10.5901
Er P H O
4 16 4 48
direct
0.0567 0.9411 0.7289
0.5567 0.5589 0.2711
0.9433 0.0589 0.2711
0.4433 0.4411 0.7289
0.7852 0.7060 0.6134
0.2852 0.7940 0.3866
0.2148 0.2940 0.3866
0.7148 0.2060 0.6134
0.3966 0.7879 0.5947
0.8966 0.7121 0.4053
0.6034 0.2121 0.4053
0.1034 0.2879 0.5947
0.6811 0.8752 0.9013
0.1811 0.6248 0.0987
0.3189 0.1248 0.0987
0.8189 0.3752 0.9013
0.3468 0.6915 0.8956
0.8468 0.8085 0.1044
0.6532 0.3085 0.1044
0.1532 0.1915 0.8956
0.8530 0.5636 0.7956
0.3530 0.9364 0.2044
0.1470 0.4364 0.2044
0.6470 0.0636 0.7956
0.3600 0.6323 0.6171
0.8600 0.8677 0.3829
0.6400 0.3677 0.3829
0.1400 0.1323 0.6171
0.9479 0.7905 0.6375
0.4479 0.7095 0.3625
0.0521 0.2095 0.3625
0.5521 0.2905 0.6375
0.7709 0.9014 0.0021
0.2709 0.5986 0.9979
0.2291 0.0986 0.9979
0.7291 0.4014 0.0021
0.8176 0.8269 0.8343
0.3176 0.6731 0.1657
0.1824 0.1731 0.1657
0.6824 0.3269 0.8343
0.7243 0.5830 0.6917
0.2243 0.9170 0.3083
0.2757 0.4170 0.3083
0.7757 0.0830 0.6917
0.8242 0.6444 0.5150
0.3242 0.8556 0.4850
0.1758 0.3556 0.4850
0.6758 0.1444 0.5150
0.3259 0.8801 0.6623
0.8259 0.6199 0.3377
0.6741 0.1199 0.3377
0.1741 0.3801 0.6623
0.4194 0.5892 0.8364
0.9194 0.9108 0.1636
0.5806 0.4108 0.1636
0.0806 0.0892 0.8364
0.5224 0.7656 0.9401
0.0224 0.7344 0.0599
0.4776 0.2344 0.0599
0.9776 0.2656 0.9401
0.2085 0.8000 0.8542
0.7085 0.7000 0.1458
0.7915 0.2000 0.1458
0.2915 0.3000 0.8542
0.6176 0.8149 0.5828
0.1176 0.6851 0.4172
0.3824 0.1851 0.4172
0.8824 0.3149 0.5828
0.9177 0.5167 0.8587
0.4177 0.9833 0.1413
0.0823 0.4833 0.1413
0.5823 0.0167 0.8587
```

## Properties
SG   P2_1/c (14)
Energy of formation from the pure elements   -2.79 eV/atom
Final energy   -7.274 eV per atom

7.
An optimized crystal structure of SiO2. Source: Materials Project, functional GGA-PBE.

Structure (POSCAR):
```
SiO2
1.0
13.9327 0.0000 0.0000
-6.9663 12.0661 0.0000
0.0000 0.0000 8.6193
Si O
24 48
direct
0.4550 0.1223 0.6873
0.8777 0.3327 0.6873
0.6673 0.5450 0.6873
0.4550 0.1223 0.3127
0.8777 0.3327 0.3127
0.6673 0.5450 0.3127
0.1223 0.4550 0.1873
0.3327 0.8777 0.1873
0.5450 0.6673 0.1873
0.1223 0.4550 0.8127
0.3327 0.8777 0.8127
0.5450 0.6673 0.8127
0.5450 0.8777 0.3127
0.1223 0.6673 0.3127
0.3327 0.4550 0.3127
0.5450 0.8777 0.6873
0.1223 0.6673 0.6873
0.3327 0.4550 0.6873
0.8777 0.5450 0.8127
0.6673 0.1223 0.8127
0.4550 0.3327 0.8127
0.8777 0.5450 0.1873
0.6673 0.1223 0.1873
0.4550 0.3327 0.1873
0.2101 0.7899 0.7500
0.2101 0.4201 0.7500
0.5799 0.7899 0.7500
0.2101 0.7899 0.2500
0.2101 0.4201 0.2500
0.5799 0.7899 0.2500
0.7899 0.2101 0.2500
0.4201 0.2101 0.2500
0.7899 0.5799 0.2500
0.7899 0.2101 0.7500
0.4201 0.2101 0.7500
0.7899 0.5799 0.7500
0.3653 0.3653 0.7500
0.6347 0.0000 0.7500
0.0000 0.6347 0.7500
0.3653 0.3653 0.2500
0.6347 0.0000 0.2500
0.0000 0.6347 0.2500
0.6347 0.6347 0.2500
0.3653 0.0000 0.2500
0.0000 0.3653 0.2500
0.6347 0.6347 0.7500
0.3653 0.0000 0.7500
0.0000 0.3653 0.7500
0.5785 0.1569 0.7500
0.8431 0.4215 0.7500
0.5785 0.4215 0.7500
0.5785 0.1569 0.2500
0.8431 0.4215 0.2500
0.5785 0.4215 0.2500
0.1569 0.5785 0.2500
0.4215 0.8431 0.2500
0.4215 0.5785 0.2500
0.1569 0.5785 0.7500
0.4215 0.8431 0.7500
0.4215 0.5785 0.7500
0.4545 0.1226 0.5000
0.8774 0.3319 0.5000
0.6681 0.5455 0.5000
0.1226 0.4545 0.0000
0.3319 0.8774 0.0000
0.5455 0.6681 0.0000
0.5455 0.8774 0.5000
0.1226 0.6681 0.5000
0.3319 0.4545 0.5000
0.8774 0.5455 0.0000
0.6681 0.1226 0.0000
0.4545 0.3319 0.0000
```

## Properties
SG   P6/mcc (192)
Energy of formation from the pure elements   -3.25 eV/atom
Final energy   -7.904 eV per atom

8.
An optimized crystal structure of LiNb2Te4Cl10O. Source: Materials Project, functional GGA-PBE.

Structure (POSCAR):
```
LiNb2Te4Cl10O
1.0
-3.5710 5.7376 -1.9814
-1.9742 -1.3446 -8.5406
-8.2323 -4.6877 1.4163
Li Nb Te Cl O
1 2 4 10 1
direct
0.9943 0.6424 0.4930
0.5229 0.6419 0.6294
0.4881 0.3629 0.3576
0.1863 0.9104 0.1474
0.0704 0.1943 0.9785
0.9197 0.8016 0.0043
0.7995 0.0862 0.8390
0.4444 0.2002 0.1822
0.4160 0.4849 0.8112
0.7947 0.2029 0.4335
0.1432 0.5525 0.2832
0.6039 0.5272 0.1854
0.3103 0.2364 0.5188
0.8686 0.4944 0.6899
0.6621 0.8045 0.4547
0.1970 0.8088 0.5672
0.5514 0.8247 0.8009
0.4994 0.5095 0.4953
```

## Properties
SG   P1 (1)
Energy of formation from the pure elements   -1.12 eV/atom
Final energy   -4.307 eV per atom

In g/cm3, the calculated density values for the records above are, in order, 9.545, 4.653, 5.736, 5.788, 3.047, 3.391, 1.653, 3.113.